Material: Li2La2Si3
Method: DFT, PBE
State: optimized geometry

Results
- E: -4.9097 eV per atom
- Calculated volume: 20.9 A^3/atom
- Space group: Cmcm, No. 63
- ΔH_f (0 K): -13.8 kcal/mol of atoms

Cell lengths 9.6672, 9.6672, 6.9132 Å; angles 90.00, 90.00, 153.03 degrees
Atoms (fractional coordinates):
1 Li 0.1873 0.8127 0.5609
2 Li 0.1873 0.8127 0.9391
3 Li 0.8127 0.1873 0.0609
4 Li 0.8127 0.1873 0.4391
5 La 0.3404 0.6596 0.7500
6 La 0.4476 0.5524 0.2500
7 La 0.5524 0.4476 0.7500
8 La 0.6596 0.3404 0.2500
9 Si 0.0569 0.9431 0.0764
10 Si 0.0569 0.9431 0.4236
11 Si 0.2802 0.7198 0.2500
12 Si 0.7198 0.2802 0.7500
13 Si 0.9431 0.0569 0.5764
14 Si 0.9431 0.0569 0.9236